Material: Li2NiBO4
Method: DFT, PBE+U
State: relaxed

Cell: 5.116 6.403 10.540 Å, 84.26 90.00 90.00°
Positions (direct):
B  0.822  0.195  0.061
B  0.678  0.195  0.561
B  0.178  0.805  0.939
B  0.322  0.805  0.439
Li  0.671  0.780  0.070
Li  0.329  0.220  0.930
Li  0.151  0.099  0.707
Li  0.349  0.099  0.207
Li  0.651  0.901  0.793
Li  0.171  0.220  0.430
Li  0.849  0.901  0.293
Li  0.829  0.780  0.570
O  0.648  0.618  0.715
O  0.912  0.753  0.921
O  0.697  0.052  0.141
O  0.193  0.708  0.546
O  0.588  0.753  0.421
O  0.088  0.247  0.079
O  0.148  0.382  0.785
O  0.303  0.948  0.859
O  0.807  0.292  0.454
O  0.197  0.948  0.359
O  0.693  0.292  0.954
O  0.412  0.247  0.579
O  0.852  0.618  0.215
O  0.803  0.052  0.641
O  0.307  0.708  0.046
O  0.352  0.382  0.285
Ni  0.355  0.501  0.654
Ni  0.645  0.499  0.346
Ni  0.145  0.501  0.154
Ni  0.855  0.499  0.846

## Properties
ΔE to the lowest computed polymorph   6.0 meV/atom
Total magnetization   3.000 μB per formula unit
E   -5.89 eV/atom

***

Material: Li9Mn2Co5O16
Method: DFT, PBE+U
State: relaxed

Cell: 3.026 5.054 19.168 Å, 92.05 92.12 91.39°
Positions (direct):
O  0.999  0.345  0.930
O  0.535  0.458  0.814
O  0.991  0.097  0.185
O  0.001  0.655  0.070
O  0.544  0.705  0.561
O  0.990  0.581  0.688
O  0.533  0.958  0.309
O  0.982  0.834  0.437
O  0.456  0.295  0.439
O  0.467  0.042  0.691
O  0.469  0.801  0.933
O  0.010  0.419  0.312
O  0.465  0.542  0.186
O  0.009  0.903  0.815
O  0.531  0.199  0.067
O  0.018  0.166  0.563
Li  0.996  0.251  0.751
Li  0.502  0.624  0.374
Li  0.000  0.000  0.000
Li  0.004  0.749  0.249
Li  0.498  0.376  0.626
Li  0.500  0.500  0.000
Li  0.508  0.872  0.125
Li  0.492  0.128  0.875
Li  0.000  0.500  0.500
Co  0.495  0.744  0.752
Co  0.500  0.000  0.500
Co  0.003  0.375  0.119
Co  0.505  0.256  0.248
Co  0.997  0.625  0.881
Mn  0.006  0.874  0.626
Mn  0.994  0.126  0.374

## Properties
ΔE to the lowest computed polymorph   76.0 meV/atom
Total magnetization   14.000 μB per formula unit
E   -5.78 eV/atom

***

Material: CaMn8O13F3
Method: DFT, PBE+U
State: relaxed

Cell: 7.055 5.778 6.928 Å, 93.81 96.25 85.88°
Positions (direct):
O  0.878  0.911  0.339
O  0.585  0.126  0.157
O  0.333  0.895  0.415
O  0.439  0.910  0.816
O  0.521  0.641  0.126
O  0.611  0.116  0.539
O  0.112  0.183  0.670
O  0.103  0.689  0.663
O  0.413  0.399  0.830
O  0.146  0.084  0.070
O  0.808  0.335  0.898
O  0.152  0.584  0.109
O  0.704  0.623  0.624
Mn  0.254  0.789  0.949
Mn  0.593  0.883  0.334
Mn  0.617  0.598  0.868
Mn  0.124  0.687  0.382
Mn  0.355  0.333  0.117
Mn  0.873  0.148  0.141
Mn  0.369  0.140  0.624
Mn  0.937  0.438  0.671
F  0.931  0.426  0.355
F  0.319  0.382  0.418
F  0.818  0.809  0.967
Ca  0.866  0.968  0.700

## Properties
ΔE to the lowest computed polymorph   30.5 meV/atom
Total magnetization   29.001 μB per formula unit
E   -6.90 eV/atom

***

Material: MgW2O4
Method: DFT, PBE+U
State: relaxed

Cell: 6.338 6.499 15.376 Å, 92.07 90.19 119.14°
Positions (direct):
W  0.836  0.670  0.834
W  0.655  0.319  0.166
W  0.831  0.159  0.334
W  0.655  0.818  0.165
W  0.841  0.182  0.715
W  0.155  0.831  0.045
W  0.008  0.512  0.501
W  0.502  0.005  0.503
W  0.339  0.670  0.834
W  0.158  0.321  0.165
W  0.007  0.005  0.503
W  0.339  0.175  0.832
O  0.315  0.630  0.088
O  0.672  0.319  0.421
O  0.484  0.977  0.757
O  0.167  0.830  0.424
O  0.669  0.354  0.912
O  0.851  0.197  0.577
O  0.801  0.626  0.089
O  0.151  0.319  0.421
O  0.658  0.810  0.920
O  0.991  0.001  0.243
O  0.679  0.855  0.417
O  0.497  0.500  0.242
O  0.184  0.862  0.908
O  0.818  0.143  0.089
O  0.998  0.977  0.756
O  0.329  0.153  0.588
O  0.185  0.351  0.912
O  0.509  0.002  0.245
O  0.338  0.693  0.581
O  0.345  0.197  0.074
O  0.981  0.467  0.250
O  0.026  0.548  0.743
O  0.858  0.691  0.581
O  0.500  0.496  0.757
Mg  0.496  0.496  0.995
Mg  0.171  0.840  0.664
Mg  0.507  0.510  0.622
Mg  0.161  0.824  0.292
Mg  0.833  0.168  0.955
Mg  0.501  0.499  0.378

## Properties
ΔE to the lowest computed polymorph   66.6 meV/atom
Total magnetization   6.000 μB per formula unit
E   -6.94 eV/atom

***

Material: Mg3Mn3As4O16
Method: DFT, PBE+U
State: relaxed

Cell: 5.268 8.714 16.457 Å, 67.56 90.00 90.00°
Positions (direct):
As  0.004  0.583  0.107
As  0.018  0.968  0.647
As  0.996  0.417  0.893
As  0.496  0.583  0.607
As  0.482  0.968  0.147
As  0.518  0.032  0.853
As  0.504  0.417  0.393
As  0.982  0.032  0.353
O  0.800  0.505  0.390
O  0.921  0.605  0.201
O  0.687  0.072  0.928
O  0.891  0.180  0.252
O  0.200  0.495  0.610
O  0.099  0.163  0.650
O  0.454  0.248  0.488
O  0.694  0.977  0.629
O  0.609  0.180  0.752
O  0.813  0.072  0.428
O  0.079  0.395  0.799
O  0.954  0.752  0.012
O  0.706  0.431  0.598
O  0.300  0.495  0.110
O  0.546  0.752  0.512
O  0.109  0.820  0.748
O  0.294  0.569  0.402
O  0.599  0.837  0.850
O  0.187  0.928  0.572
O  0.391  0.820  0.248
O  0.313  0.928  0.072
O  0.806  0.977  0.129
O  0.306  0.023  0.371
O  0.194  0.023  0.871
O  0.700  0.505  0.890
O  0.421  0.395  0.299
O  0.901  0.837  0.350
O  0.206  0.569  0.902
O  0.046  0.248  0.988
O  0.579  0.605  0.701
O  0.401  0.163  0.150
O  0.794  0.431  0.098
Mn  0.500  0.500  0.000
Mn  0.497  0.195  0.625
Mn  0.503  0.805  0.375
Mn  0.997  0.805  0.875
Mn  0.000  0.500  0.500
Mn  0.003  0.195  0.125
Mg  0.500  0.000  0.500
Mg  0.000  0.000  0.000
Mg  0.448  0.683  0.790
Mg  0.948  0.317  0.710
Mg  0.052  0.683  0.290
Mg  0.552  0.317  0.210

## Properties
Total magnetization   15.000 μB per formula unit
E   -6.55 eV/atom

***

Material: Li9Mn2Co5O16
Method: DFT, PBE+U
State: relaxed

Cell: 5.120 7.745 7.745 Å, 96.13 76.07 76.07°
Positions (direct):
Li  0.000  0.748  0.252
Li  0.009  0.868  0.613
Li  0.505  0.255  0.252
Li  0.991  0.387  0.132
Li  0.993  0.112  0.369
Li  0.495  0.748  0.745
Li  0.518  0.985  0.489
Li  0.007  0.631  0.888
Li  0.482  0.511  0.015
O  0.757  0.477  0.727
O  0.759  0.891  0.887
O  0.726  0.137  0.628
O  0.278  0.613  0.619
O  0.233  0.019  0.764
O  0.754  0.002  0.228
O  0.722  0.381  0.387
O  0.246  0.772  0.998
O  0.767  0.236  0.981
O  0.723  0.627  0.136
O  0.252  0.509  0.277
O  0.748  0.723  0.491
O  0.243  0.273  0.523
O  0.241  0.113  0.109
O  0.277  0.864  0.373
O  0.274  0.372  0.863
Co  0.500  0.864  0.136
Co  0.500  0.622  0.378
Co  0.000  0.251  0.749
Co  0.500  0.126  0.874
Co  0.000  0.505  0.495
Mn  0.500  0.378  0.622
Mn  0.000  0.998  0.002

## Properties
ΔE to the lowest computed polymorph   24.1 meV/atom
Total magnetization   10.000 μB per formula unit
E   -5.83 eV/atom

***

Material: Li4Co3Ni3W2O16
Method: DFT, PBE+U
State: relaxed

Cell: 5.924 5.924 9.744 Å, 89.65 89.65 60.15°
Positions (direct):
Li  0.005  0.005  0.490
Li  0.331  0.331  0.404
Li  0.664  0.664  0.904
Li  0.005  0.005  0.989
Co  0.175  0.175  0.721
Co  0.832  0.346  0.219
Co  0.346  0.832  0.219
W  0.670  0.670  0.490
W  0.339  0.339  0.989
O  0.167  0.658  0.086
O  0.315  0.315  0.614
O  0.174  0.174  0.088
O  0.830  0.830  0.586
O  0.519  0.519  0.351
O  0.476  0.036  0.851
O  0.516  0.961  0.350
O  0.658  0.167  0.086
O  0.961  0.516  0.350
O  0.016  0.016  0.797
O  0.036  0.476  0.851
O  0.008  0.008  0.297
O  0.480  0.480  0.851
O  0.824  0.346  0.587
O  0.654  0.654  0.111
O  0.346  0.824  0.587
Ni  0.660  0.169  0.715
Ni  0.830  0.830  0.212
Ni  0.169  0.660  0.715

## Properties
Total magnetization   16.997 μB per formula unit
E   -5.99 eV/atom

***

Material: VF5
Method: DFT, PBE+U
State: relaxed

Cell: 10.556 5.361 6.222 Å, 75.84 90.00 90.00°
Positions (direct):
F  0.919  0.614  0.413
F  0.373  0.722  0.699
F  0.677  0.782  0.182
F  0.929  0.186  0.312
F  0.127  0.722  0.199
F  0.873  0.278  0.801
F  0.627  0.278  0.301
F  0.081  0.386  0.587
F  0.823  0.782  0.682
F  0.418  0.378  0.471
F  0.071  0.814  0.688
F  0.581  0.614  0.913
F  0.177  0.218  0.318
F  0.082  0.378  0.971
F  0.429  0.814  0.188
F  0.419  0.386  0.087
F  0.918  0.622  0.029
F  0.582  0.622  0.529
F  0.571  0.186  0.812
F  0.323  0.218  0.818
V  0.953  0.575  0.734
V  0.547  0.575  0.234
V  0.453  0.425  0.766
V  0.047  0.425  0.266

## Properties
Total magnetization   0.000 μB per formula unit
E   -5.16 eV/atom

***

Material: Mg2FeO4
Method: DFT, PBE+U
State: relaxed

Cell: 6.011 6.011 6.011 Å, 60.00 60.00 60.00°
Positions (direct):
O  0.871  0.386  0.871
O  0.386  0.871  0.871
O  0.379  0.379  0.864
O  0.871  0.871  0.386
O  0.864  0.379  0.379
O  0.379  0.864  0.379
O  0.871  0.871  0.871
O  0.379  0.379  0.379
Mg  0.625  0.125  0.625
Mg  0.125  0.625  0.625
Mg  0.625  0.625  0.625
Mg  0.625  0.625  0.125
Fe  0.000  0.000  0.000
Fe  0.250  0.250  0.250

## Properties
ΔE to the lowest computed polymorph   0.0 meV/atom
Total magnetization   3.999 μB per formula unit
E   -6.05 eV/atom

***

Material: Mn5CrP6O24
Method: DFT, PBE+U
State: relaxed

Cell: 8.611 8.611 8.611 Å, 59.63 59.63 59.63°
Positions (direct):
O  0.010  0.618  0.803
O  0.618  0.803  0.010
O  0.803  0.010  0.618
O  0.122  0.507  0.306
O  0.262  0.915  0.059
O  0.487  0.698  0.880
O  0.880  0.487  0.698
O  0.698  0.880  0.487
O  0.199  0.989  0.379
O  0.379  0.199  0.989
O  0.059  0.262  0.915
O  0.444  0.580  0.237
O  0.735  0.085  0.944
O  0.085  0.944  0.735
O  0.306  0.122  0.507
O  0.944  0.735  0.085
O  0.418  0.765  0.555
O  0.915  0.059  0.262
O  0.765  0.555  0.418
O  0.507  0.306  0.122
O  0.989  0.379  0.199
O  0.555  0.418  0.765
O  0.580  0.237  0.444
O  0.237  0.444  0.580
Mn  0.000  0.000  0.000
Mn  0.356  0.356  0.356
Mn  0.644  0.644  0.644
Mn  0.144  0.144  0.144
Mn  0.501  0.501  0.501
P  0.750  0.040  0.459
P  0.040  0.459  0.750
P  0.961  0.539  0.250
P  0.539  0.250  0.961
P  0.459  0.750  0.040
P  0.250  0.961  0.539
Cr  0.858  0.858  0.858

## Properties
ΔE to the lowest computed polymorph   0.0 meV/atom
Total magnetization   23.000 μB per formula unit
E   -7.42 eV/atom

***

Result set for E_form: -2.0386 -1.7881 -2.0267 -1.8448 -2.1645 -1.8400 -1.7366 -2.7200 -2.2654 -2.4284 eV/atom, one per record in the order listed.
Result set for total energy after the MP2020 corrections: -6.547 -6.482 -7.842 -8.603 -7.168 -6.534 -7.143 -5.830 -6.760 -8.170 eV per atom, one per record in the order listed.